[1]
Compound: Li12CrGa11O24
Source: the Materials Project
Functional: PBE with a Hubbard U
Structure: optimized geometry

Cell: 7.4790 8.2011 9.8614 Å, 101.12 86.67 114.55°
Element x y z (fractional)
Li  0.8508  0.6115  0.7352
Li  0.9902  0.5555  0.4305
Li  0.6552  0.8872  0.7625
Li  0.0977  0.6089  0.9847
Li  0.4308  0.2756  0.6515
Li  0.7646  0.9423  0.3181
Li  0.4052  0.8877  0.5125
Li  0.0717  0.2219  0.8463
Li  0.7384  0.5544  0.1778
Li  0.1795  0.2759  0.4005
Li  0.5151  0.9429  0.0673
Li  0.3208  0.2206  0.0960
Cr  0.6014  0.6102  0.4843
Ga  0.6791  0.2761  0.9024
Ga  0.8203  0.2234  0.5970
Ga  0.4873  0.5569  0.9301
Ga  0.2642  0.9451  0.8189
Ga  0.9288  0.2781  0.1526
Ga  0.2341  0.5535  0.6813
Ga  0.9030  0.8886  0.0145
Ga  0.5664  0.2195  0.3478
Ga  0.3433  0.6086  0.2347
Ga  0.0189  0.9481  0.5709
Ga  0.1538  0.8907  0.2637
O  0.9275  0.3412  0.9795
O  0.7183  0.7360  0.8743
O  0.8868  0.0725  0.6842
O  0.7017  0.3427  0.7288
O  0.8670  0.7001  0.5582
O  0.5211  0.0252  0.8868
O  0.3103  0.4198  0.7823
O  0.9767  0.7533  0.1157
O  0.6436  0.0865  0.4488
O  0.1270  0.0541  0.9422
O  0.7919  0.3883  0.2772
O  0.4597  0.7183  0.6095
O  0.4477  0.3501  0.4682
O  0.1275  0.6923  0.8048
O  0.7929  0.0253  0.1375
O  0.2671  0.0113  0.6469
O  0.5925  0.6722  0.3092
O  0.0507  0.4024  0.5408
O  0.3847  0.0681  0.2062
O  0.5524  0.4044  0.0169
O  0.2196  0.7382  0.3502
O  0.0337  0.0079  0.3955
O  0.3674  0.6749  0.0614
O  0.1855  0.3581  0.2199

Summary:
Total magnetic moment = 1.0 μB per formula unit
Final energy = -278.07 eV per cell
SG = No. 1
ΔE_f = -2332.1 meV/atom



[2]
Compound: Li4Cr3GaO8
Source: the Materials Project
Functional: PBE with a Hubbard U
Structure: optimized geometry

Cell: 5.1405 5.9285 10.6878 Å, 73.91 76.11 73.23°
Element x y z (fractional)
Li  0.0000  0.0000  0.5000
Li  0.0000  0.6248  0.7501
Li  0.0000  0.3752  0.2499
Li  0.0000  0.7501  0.9999
Li  0.0000  0.5000  0.5000
Li  0.9995  0.1253  0.7499
Li  0.0005  0.8747  0.2501
Li  0.0000  0.2499  0.0001
Cr  0.5000  0.5623  0.1251
Cr  0.5002  0.3124  0.6248
Cr  0.5000  0.9375  0.8748
Cr  0.4998  0.6876  0.3752
Cr  0.5000  0.0625  0.1252
Cr  0.5000  0.4377  0.8749
Ga  0.5000  0.8127  0.6249
Ga  0.5000  0.1873  0.3751
O  0.2753  0.4009  0.0604
O  0.7260  0.2237  0.1896
O  0.2738  0.1507  0.5604
O  0.7256  0.9736  0.6894
O  0.7247  0.5991  0.9396
O  0.2740  0.7763  0.8104
O  0.2746  0.5259  0.3105
O  0.7254  0.3490  0.4394
O  0.2756  0.9011  0.0602
O  0.7244  0.7239  0.1898
O  0.2746  0.6510  0.5606
O  0.7254  0.4741  0.6895
O  0.2756  0.2761  0.8102
O  0.2744  0.0264  0.3106
O  0.7244  0.0989  0.9398
O  0.7262  0.8493  0.4396

Summary:
Total magnetic moment = 9.0 μB per formula unit
Final energy = -211.57 eV per cell
SG = No. 2
ΔE_f = -2379.4 meV/atom
Relative energy among the computed polymorphs = 3.6 meV per atom



[3]
Compound: Li4Cr3GaO8
Source: the Materials Project
Functional: PBE with a Hubbard U
Structure: optimized geometry

Cell: 5.1402 5.9284 10.6875 Å, 73.90 76.12 73.24°
Element x y z (fractional)
Li  0.5004  0.3123  0.6249
Li  0.4997  0.9377  0.8750
Li  0.4996  0.6877  0.3751
Li  0.5003  0.0623  0.1250
Li  0.5000  0.8126  0.6249
Li  0.5000  0.4373  0.8752
Li  0.5000  0.1874  0.3751
Li  0.5000  0.5627  0.1248
Cr  0.0000  0.1250  0.7500
Cr  0.0000  0.5000  0.5000
Cr  0.0000  0.8750  0.2500
Cr  0.9999  0.2502  0.0000
Cr  0.0000  0.0000  0.5000
Cr  0.0001  0.7498  0.0000
Ga  0.0000  0.6250  0.7500
Ga  0.0000  0.3750  0.2500
O  0.7744  0.7136  0.1855
O  0.2256  0.5360  0.3144
O  0.7744  0.4640  0.6856
O  0.2256  0.2864  0.8145
O  0.2241  0.9117  0.0648
O  0.7759  0.0883  0.9352
O  0.7757  0.8384  0.4354
O  0.2257  0.6612  0.5647
O  0.7743  0.2138  0.1856
O  0.2257  0.0367  0.3145
O  0.7743  0.9633  0.6855
O  0.2257  0.7862  0.8144
O  0.7742  0.5888  0.9354
O  0.7743  0.3388  0.4353
O  0.2258  0.4112  0.0646
O  0.2243  0.1616  0.5646

Summary:
Total magnetic moment = 9.0 μB per formula unit
Final energy = -211.56 eV per cell
SG = No. 2
ΔE_f = -2379.2 meV/atom
Relative energy among the computed polymorphs = 3.8 meV per atom



[4]
Compound: Li4Cr3GaO8
Source: the Materials Project
Functional: PBE with a Hubbard U
Structure: optimized geometry

Cell: 5.1389 7.8420 7.8434 Å, 81.78 83.76 70.94°
Element x y z (fractional)
Li  0.0003  0.5624  0.8126
Li  0.0000  0.3124  0.5625
Li  0.9997  0.4376  0.1874
Li  0.0001  0.9375  0.6873
Li  0.9999  0.0625  0.3127
Li  0.9997  0.1878  0.9373
Li  0.0000  0.6876  0.4375
Li  0.0003  0.8122  0.0627
Cr  0.4998  0.2497  0.7503
Cr  0.5000  0.3748  0.3748
Cr  0.5000  0.5000  0.0000
Cr  0.5000  0.0000  0.5000
Cr  0.5000  0.6252  0.6252
Cr  0.5002  0.7503  0.2497
Ga  0.5000  0.1249  0.1249
Ga  0.5000  0.8751  0.8751
O  0.7243  0.4116  0.7824
O  0.2758  0.4633  0.5926
O  0.7242  0.5367  0.4074
O  0.2742  0.0885  0.7177
O  0.7243  0.1616  0.5325
O  0.7256  0.2861  0.1572
O  0.2742  0.2135  0.3424
O  0.7258  0.7865  0.6576
O  0.7258  0.9115  0.2823
O  0.2743  0.3385  0.9678
O  0.2757  0.8384  0.4675
O  0.7264  0.0357  0.9077
O  0.2736  0.9643  0.0923
O  0.7257  0.6615  0.0322
O  0.2757  0.5884  0.2176
O  0.2744  0.7139  0.8428

Summary:
Total magnetic moment = 9.0 μB per formula unit
Final energy = -211.57 eV per cell
SG = No. 2
ΔE_f = -2379.4 meV/atom
Relative energy among the computed polymorphs = 3.6 meV per atom



[5]
Compound: Li4Cr3GaO8
Source: the Materials Project
Functional: PBE with a Hubbard U
Structure: optimized geometry

Cell: 5.1387 5.9284 10.2689 Å, 90.00 99.59 106.78°
Element x y z (fractional)
Li  0.0000  0.7502  0.7499
Li  0.0005  0.7502  0.2500
Li  0.0000  0.5000  0.5000
Li  0.0000  0.5000  0.0000
Li  0.9995  0.2498  0.7500
Li  0.0000  0.2498  0.2501
Li  0.0000  0.0000  0.5000
Li  0.0000  0.0000  0.0000
Cr  0.5000  0.6248  0.3748
Cr  0.5000  0.3752  0.6252
Cr  0.5001  0.1251  0.3748
Cr  0.5002  0.1252  0.8752
Cr  0.4999  0.8749  0.6252
Cr  0.4998  0.8748  0.1248
Ga  0.5000  0.6248  0.8751
Ga  0.5000  0.3752  0.1249
O  0.2738  0.5684  0.6897
O  0.2742  0.5682  0.1893
O  0.7249  0.6815  0.5604
O  0.7263  0.6808  0.0603
O  0.2751  0.3185  0.4396
O  0.7262  0.4316  0.3103
O  0.2737  0.3192  0.9397
O  0.7258  0.4318  0.8107
O  0.2754  0.0688  0.6898
O  0.7247  0.1811  0.5603
O  0.2744  0.0689  0.1894
O  0.7256  0.1816  0.0607
O  0.2753  0.8189  0.4397
O  0.7246  0.9312  0.3102
O  0.2744  0.8184  0.9393
O  0.7256  0.9311  0.8106

Summary:
Total magnetic moment = 9.0 μB per formula unit
Final energy = -211.57 eV per cell
SG = No. 2
ΔE_f = -2379.4 meV/atom
Relative energy among the computed polymorphs = 3.6 meV per atom



[6]
Compound: Li4Cr3GaO8
Source: the Materials Project
Functional: PBE with a Hubbard U
Structure: optimized geometry

Cell: 5.1397 7.8417 7.8437 Å, 81.79 83.76 70.93°
Element x y z (fractional)
Li  0.9995  0.8751  0.8750
Li  0.0000  0.6251  0.6247
Li  0.9995  0.7501  0.2501
Li  0.0005  0.2499  0.7499
Li  0.0000  0.3749  0.3753
Li  0.0000  0.5000  0.0000
Li  0.0000  0.0000  0.5000
Li  0.0005  0.1249  0.1250
Cr  0.5000  0.6873  0.4375
Cr  0.5003  0.8121  0.0624
Cr  0.5000  0.3127  0.5625
Cr  0.5001  0.9373  0.6876
Cr  0.4999  0.0627  0.3124
Cr  0.4997  0.1879  0.9376
Ga  0.5000  0.5624  0.8126
Ga  0.5000  0.4376  0.1874
O  0.7258  0.7236  0.8447
O  0.2742  0.7761  0.6552
O  0.7243  0.8490  0.4698
O  0.2744  0.4012  0.7801
O  0.7257  0.4739  0.5950
O  0.7256  0.5988  0.2199
O  0.2743  0.5261  0.4050
O  0.7242  0.0993  0.7200
O  0.7258  0.2239  0.3448
O  0.2734  0.6508  0.0301
O  0.2757  0.1510  0.5302
O  0.7266  0.3492  0.9699
O  0.2742  0.2764  0.1553
O  0.7241  0.9742  0.0947
O  0.2758  0.9007  0.2800
O  0.2759  0.0258  0.9053

Summary:
Total magnetic moment = 9.0 μB per formula unit
Final energy = -211.57 eV per cell
SG = No. 2
ΔE_f = -2379.5 meV/atom
Relative energy among the computed polymorphs = 3.5 meV per atom



[7]
Compound: Li4Cr3GaO8
Source: the Materials Project
Functional: PBE with a Hubbard U
Structure: optimized geometry

Cell: 5.1127 5.1681 11.4810 Å, 98.92 94.24 80.55°
Element x y z (fractional)
Li  0.9999  0.9999  0.0000
Li  0.9999  0.4999  0.5000
Li  0.5001  0.1251  0.1250
Li  0.5001  0.6251  0.6250
Li  0.0000  0.2502  0.2500
Li  0.0000  0.7502  0.7500
Li  0.5000  0.3749  0.3750
Li  0.5000  0.8748  0.8750
Cr  0.7501  0.0625  0.5625
Cr  0.2500  0.6878  0.1879
Cr  0.2499  0.4372  0.9371
Cr  0.7500  0.5625  0.0625
Cr  0.2501  0.1878  0.6878
Cr  0.2499  0.9373  0.4371
Ga  0.7500  0.8125  0.3125
Ga  0.7500  0.3125  0.8125
O  0.1222  0.3645  0.0908
O  0.1222  0.8645  0.5908
O  0.3778  0.7605  0.0342
O  0.3778  0.2605  0.5342
O  0.6219  0.4903  0.2163
O  0.6219  0.9903  0.7163
O  0.8781  0.1347  0.4087
O  0.8781  0.6347  0.9087
O  0.8783  0.8861  0.1598
O  0.8783  0.3861  0.6598
O  0.6217  0.7390  0.4652
O  0.6217  0.2390  0.9652
O  0.1192  0.6144  0.3408
O  0.1192  0.1144  0.8408
O  0.3808  0.0106  0.2842
O  0.3808  0.5106  0.7842

Summary:
Total magnetic moment = 0.0 μB per formula unit
Final energy = -211.68 eV per cell
ΔE_f = -2383.0 meV/atom
Relative energy among the computed polymorphs = 0.0 meV per atom



[8]
Compound: CrGaO4
Source: the Materials Project
Functional: PBE with a Hubbard U
Structure: optimized geometry

Cell: 4.5378 5.4230 4.5436 Å, 91.47 88.26 146.85°
Element x y z (fractional)
Cr  0.5043  0.0002  0.4984
Ga  0.5031  0.4994  0.9984
O  0.2092  0.9993  0.7936
O  0.1947  0.5003  0.6868
O  0.7992  0.9994  0.2031
O  0.8142  0.4990  0.3088

Summary:
Total magnetic moment = 1.0 μB per formula unit
Final energy = -38.99 eV per cell
SG = No. 38
ΔE_f = -1876.9 meV/atom



[9]
Compound: SrCr9Ga3O19
Source: the Materials Project
Functional: PBE with a Hubbard U
Structure: optimized geometry

Cell: 5.9125 5.9125 23.0408 Å, 90.00 90.00 120.00°
Element x y z (fractional)
Sr  0.6667  0.3333  0.2494
Sr  0.3333  0.6667  0.7494
Cr  0.8317  0.6633  0.3923
Cr  0.8317  0.1683  0.3923
Cr  0.3367  0.1683  0.3923
Cr  0.1677  0.3354  0.6081
Cr  0.1677  0.8323  0.6081
Cr  0.6646  0.8323  0.6081
Cr  0.1683  0.3367  0.8923
Cr  0.1683  0.8317  0.8923
Cr  0.6633  0.8317  0.8923
Cr  0.8323  0.6646  0.1081
Cr  0.8323  0.1677  0.1081
Cr  0.3354  0.1677  0.1081
Cr  0.6667  0.3333  0.6912
Cr  0.3333  0.6667  0.3088
Cr  0.3333  0.6667  0.1912
Cr  0.6667  0.3333  0.8088
Cr  0.0000  0.0000  0.5001
Cr  0.0000  0.0000  0.0001
Ga  0.6667  0.3333  0.5279
Ga  0.3333  0.6667  0.4727
Ga  0.3333  0.6667  0.0279
Ga  0.6667  0.3333  0.9727
Ga  0.0000  0.0000  0.7543
Ga  0.0000  0.0000  0.2543
O  0.0000  0.0000  0.6515
O  0.0000  0.0000  0.3479
O  0.0000  0.0000  0.1515
O  0.0000  0.0000  0.8479
O  0.6667  0.3333  0.4448
O  0.3333  0.6667  0.5552
O  0.3333  0.6667  0.9448
O  0.6667  0.3333  0.0552
O  0.8429  0.6858  0.5527
O  0.8429  0.1571  0.5527
O  0.3142  0.1571  0.5527
O  0.1571  0.3142  0.4472
O  0.1571  0.8429  0.4472
O  0.6858  0.8429  0.4472
O  0.1571  0.3142  0.0527
O  0.1571  0.8429  0.0527
O  0.6858  0.8429  0.0527
O  0.8429  0.6858  0.9472
O  0.8429  0.1571  0.9472
O  0.3142  0.1571  0.9472
O  0.8184  0.6368  0.7503
O  0.8184  0.1816  0.7503
O  0.3632  0.1816  0.7503
O  0.1816  0.3632  0.2503
O  0.1816  0.8184  0.2503
O  0.6368  0.8184  0.2503
O  0.4929  0.9858  0.6515
O  0.4929  0.5071  0.6515
O  0.0142  0.5071  0.6515
O  0.5077  0.0153  0.3486
O  0.5077  0.4923  0.3486
O  0.9847  0.4923  0.3486
O  0.5071  0.0142  0.1515
O  0.5071  0.4929  0.1515
O  0.9858  0.4929  0.1515
O  0.4923  0.9847  0.8486
O  0.4923  0.5077  0.8486
O  0.0153  0.5077  0.8486

Summary:
Total magnetic moment = 27.0 μB per formula unit
Final energy = -476.13 eV per cell
SG = No. 186
ΔE_f = -2420.3 meV/atom



[10]
Compound: Sr2YCr2GaO7
Source: the Materials Project
Functional: PBE with a Hubbard U
Structure: optimized geometry

Cell: 12.2051 12.2051 12.2051 Å, 153.43 152.79 38.40°
Element x y z (fractional)
Sr  0.8722  0.8296  0.0102
Sr  0.1278  0.1381  0.9575
Sr  0.3194  0.3296  0.9575
Sr  0.6806  0.6381  0.0102
Y  0.5000  0.4951  0.9951
Y  0.0000  0.9951  0.9951
Cr  0.0771  0.5730  0.4999
Cr  0.4269  0.9228  0.4999
Cr  0.5731  0.0730  0.4959
Cr  0.9229  0.4228  0.4959
Ga  0.3220  0.7142  0.5362
Ga  0.6780  0.2142  0.3922
O  0.2247  0.6456  0.9986
O  0.3832  0.3761  0.2593
O  0.1470  0.1456  0.4208
O  0.7318  0.2064  0.5822
O  0.2734  0.8602  0.9994
O  0.3608  0.3602  0.5868
O  0.6168  0.8761  0.9928
O  0.8530  0.2738  0.9986
O  0.7753  0.7738  0.4208
O  0.1242  0.7064  0.4746
O  0.2682  0.8504  0.4746
O  0.8758  0.3504  0.5822
O  0.7266  0.7260  0.5868
O  0.6392  0.2260  0.9994

Summary:
Total magnetic moment = 8.0 μB per formula unit
Final energy = -188.01 eV per cell
SG = No. 46
ΔE_f = -2769.1 meV/atom